Density functional theory data (GGA+U) for a relaxed structure of V2NiTe2O10.

Formation energy from the elements ... -1852.4 meV per atom
Corrected total energy (MP2020 scheme) ... -0.2634 hartree per atom
Magnetization ... 0.00 μB/atom
Theoretical density ... 5.157 g/cm3

a = 6.428 Å, b = 6.672 Å, c = 9.520 Å
α = 71.70°, β = 77.68°, γ = 96.96°
Atoms (fractional coordinates):
O1 0.530 0.627 0.667
O2 0.116 0.067 0.345
Te1 0.094 0.031 0.749
O3 0.834 0.665 0.372
O4 0.834 0.165 0.872
V1 0.389 0.010 0.363
Ni1 0.500 0.000 0.000
O5 0.654 0.258 0.604
O6 0.346 0.742 0.396
O7 0.166 0.335 0.628
O8 0.325 0.490 0.085
O9 0.325 0.990 0.585
O10 0.654 0.758 0.104
O11 0.675 0.510 0.915
Ni2 0.500 0.500 0.500
O12 0.470 0.373 0.333
V2 0.611 0.490 0.137
O13 0.530 0.127 0.167
O14 0.470 0.873 0.833
V3 0.611 0.990 0.637
Te2 0.906 0.969 0.251
O15 0.884 0.433 0.155
O16 0.116 0.567 0.845
Te3 0.094 0.531 0.249
O17 0.166 0.835 0.128
O18 0.675 0.010 0.415
Te4 0.906 0.469 0.751
O19 0.884 0.933 0.655
V4 0.389 0.510 0.863
O20 0.346 0.242 0.896